[1]
Material: ZrO2
Method: DFT, r²SCAN
State: relaxed

For the magnetic moment, the calculation gives 0.00 μB/cell. As for the total energy: -183.8 eV for the cell shown. Its space group is Pnma (62).

Lattice parameters (Å, degrees): 5.4258 7.6661 3.4478 90.00 90.00 90.00
Last column: nearest neighbours and their distance in Å.
Sites, in units of the cell vectors:
O  0.8916  0.8900  0.7500  4 Zr 2.15-2.25
O  0.1309  0.3566  0.7500  3 Zr 2.07-2.12
O  0.3916  0.6100  0.2500  4 Zr 2.15-2.25
O  0.6084  0.3900  0.7500  4 Zr 2.15-2.25
O  0.8691  0.6434  0.2500  3 Zr 2.07-2.12
O  0.3691  0.8566  0.7500  3 Zr 2.07-2.12
O  0.1084  0.1100  0.2500  4 Zr 2.15-2.25
O  0.6309  0.1434  0.2500  3 Zr 2.07-2.12
Zr  0.3560  0.3304  0.2500  7 O 2.07-2.25
Zr  0.8560  0.1696  0.7500  7 O 2.07-2.25
Zr  0.1440  0.8304  0.2500  7 O 2.07-2.25
Zr  0.6440  0.6696  0.7500  7 O 2.07-2.25

[2]
Material: ZrO2
Method: DFT, r²SCAN
State: relaxed

For the magnetic moment, the calculation gives 0.00 μB/cell. As for the total energy: -183.9 eV for the cell shown. Its space group is Pca2_1 (29).

Lattice parameters (Å, degrees): 5.0747 5.1011 5.2834 90.00 90.00 90.00
Last column: nearest neighbours and their distance in Å.
Sites, in units of the cell vectors:
O  0.0674  0.1061  0.6350  3 Zr 2.04-2.16
O  0.4633  0.0008  0.2701  4 Zr 2.13-2.27
O  0.5367  0.5008  0.7299  4 Zr 2.13-2.27
O  0.9326  0.1061  0.1350  3 Zr 2.04-2.16
O  0.0674  0.6061  0.8650  3 Zr 2.04-2.16
O  0.9326  0.6061  0.3650  3 Zr 2.04-2.16
O  0.5367  0.0008  0.7701  4 Zr 2.13-2.27
O  0.4633  0.5008  0.2299  4 Zr 2.13-2.27
Zr  0.2665  0.2491  0.9697  7 O 2.04-2.27
Zr  0.7335  0.2491  0.4697  7 O 2.04-2.27
Zr  0.2665  0.7491  0.5303  7 O 2.04-2.27
Zr  0.7335  0.7491  0.0303  7 O 2.04-2.27

[3]
Material: ZrO2
Method: DFT, r²SCAN
State: relaxed

For the magnetic moment, the calculation gives 0.00 μB/cell. As for the total energy: -458.9 eV for the cell shown. Its space group is P4/n (85).

Lattice parameters (Å, degrees): 8.0793 8.0793 5.0296 90.00 90.00 90.00
Last column: nearest neighbours and their distance in Å.
Sites, in units of the cell vectors:
O  0.0432  0.3392  0.0760  4 Zr 2.18-2.23
O  0.9542  0.8594  0.3878  3 Zr 2.09-2.22
O  0.3392  0.4568  0.0760  4 Zr 2.18-2.23
O  0.7500  0.2500  0.0000  4 Zr 2.16
O  0.8594  0.5458  0.3878  3 Zr 2.09-2.22
O  0.4542  0.3594  0.6122  3 Zr 2.09-2.22
O  0.1406  0.4542  0.6122  3 Zr 2.09-2.22
O  0.5458  0.6406  0.3878  3 Zr 2.09-2.22
O  0.2500  0.7500  0.0000  4 Zr 2.16
O  0.2500  0.7500  0.5000  4 Zr 2.18
O  0.8392  0.9568  0.9240  4 Zr 2.18-2.23
O  0.0458  0.1406  0.6122  3 Zr 2.09-2.22
O  0.6608  0.5432  0.9240  4 Zr 2.18-2.23
O  0.6406  0.9542  0.3878  3 Zr 2.09-2.22
O  0.1608  0.0432  0.0760  4 Zr 2.18-2.23
O  0.4568  0.1608  0.0760  4 Zr 2.18-2.23
O  0.9568  0.6608  0.9240  4 Zr 2.18-2.23
O  0.7500  0.2500  0.5000  4 Zr 2.18
O  0.3594  0.0458  0.6122  3 Zr 2.09-2.22
O  0.5432  0.8392  0.9240  4 Zr 2.18-2.23
Zr  0.2500  0.2500  0.8192  8 O 2.14-2.23
Zr  0.4246  0.6175  0.7540  7 O 2.09-2.22
Zr  0.1175  0.5754  0.2460  7 O 2.09-2.22
Zr  0.8825  0.4246  0.7540  7 O 2.09-2.22
Zr  0.7500  0.7500  0.1808  8 O 2.14-2.23
Zr  0.0754  0.8825  0.7540  7 O 2.09-2.22
Zr  0.6175  0.0754  0.7540  7 O 2.09-2.22
Zr  0.9246  0.1175  0.2460  7 O 2.09-2.22
Zr  0.5754  0.3825  0.2460  7 O 2.09-2.22
Zr  0.3825  0.9246  0.2460  7 O 2.09-2.22

[4]
Material: ZrO2
Method: DFT, r²SCAN
State: relaxed

For the magnetic moment, the calculation gives 0.00 μB/cell. As for the total energy: -367.9 eV for the cell shown. Its space group is Pbca (61).

Lattice parameters (Å, degrees): 5.0981 5.2714 10.0931 90.00 90.00 90.00
Last column: nearest neighbours and their distance in Å.
Sites, in units of the cell vectors:
O  0.0025  0.2388  0.0224  4 Zr 2.16-2.23
O  0.1278  0.3747  0.7899  3 Zr 2.05-2.19
O  0.8722  0.6253  0.2101  3 Zr 2.05-2.19
O  0.5025  0.2612  0.0224  4 Zr 2.16-2.23
O  0.5025  0.7612  0.4776  4 Zr 2.16-2.23
O  0.3722  0.8747  0.2101  3 Zr 2.05-2.19
O  0.4975  0.2388  0.5224  4 Zr 2.16-2.23
O  0.9975  0.2612  0.5224  4 Zr 2.16-2.23
O  0.9975  0.7612  0.9776  4 Zr 2.16-2.23
O  0.4975  0.7388  0.9776  4 Zr 2.16-2.23
O  0.6278  0.6253  0.7101  3 Zr 2.05-2.19
O  0.0025  0.7388  0.4776  4 Zr 2.16-2.23
O  0.3722  0.3747  0.2899  3 Zr 2.05-2.19
O  0.6278  0.1253  0.7899  3 Zr 2.05-2.19
O  0.1278  0.8747  0.7101  3 Zr 2.05-2.19
O  0.8722  0.1253  0.2899  3 Zr 2.05-2.19
Zr  0.7470  0.4659  0.3845  7 O 2.05-2.23
Zr  0.7530  0.4659  0.8845  7 O 2.05-2.23
Zr  0.7530  0.9659  0.6155  7 O 2.05-2.23
Zr  0.2470  0.5341  0.1155  7 O 2.05-2.23
Zr  0.2530  0.0341  0.8845  7 O 2.05-2.23
Zr  0.2530  0.5341  0.6155  7 O 2.05-2.23
Zr  0.7470  0.9659  0.1155  7 O 2.05-2.23
Zr  0.2470  0.0341  0.3845  7 O 2.05-2.23

[5]
Material: ZrO2
Method: DFT, r²SCAN
State: relaxed

For the magnetic moment, the calculation gives 0.00 μB/cell. As for the total energy: -183.8 eV for the cell shown. Its space group is Pnma (62).

Lattice parameters (Å, degrees): 3.4749 10.3739 3.7929 90.00 90.00 90.00
Last column: nearest neighbours and their distance in Å.
Sites, in units of the cell vectors:
O  0.7500  0.7156  0.0987  3 Zr 2.08-2.16
O  0.2500  0.2844  0.9013  3 Zr 2.08-2.16
O  0.7500  0.2156  0.4013  3 Zr 2.08-2.16
O  0.7500  0.4735  0.2599  4 Zr 2.09-2.30
O  0.2500  0.5265  0.7401  4 Zr 2.09-2.30
O  0.2500  0.0265  0.7599  4 Zr 2.09-2.30
O  0.2500  0.7844  0.5987  3 Zr 2.08-2.16
O  0.7500  0.9735  0.2401  4 Zr 2.09-2.30
Zr  0.2500  0.1193  0.2500  7 O 2.08-2.30
Zr  0.7500  0.3807  0.7500  7 O 2.08-2.30
Zr  0.7500  0.8807  0.7500  7 O 2.08-2.30
Zr  0.2500  0.6193  0.2500  7 O 2.08-2.30

[6]
Material: Os
Method: DFT, r²SCAN
State: relaxed

As for the relative energy among the computed polymorphs: 234.4 meV/atom. For the magnetic moment, the calculation gives 0.00 μB/cell. As for the total energy: -422.0 eV for the cell shown. Its space group is P2_1/c (14).

Lattice parameters (Å, degrees): 5.1058 4.6445 5.1344 90.00 105.63 90.00
Last column: nearest neighbours and their distance in Å.
Sites, in units of the cell vectors:
Os  0.8621  0.3420  0.6387  11 Os 2.61-2.80
Os  0.6067  0.6618  0.2040  11 Os 2.57-2.74
Os  0.3933  0.1618  0.2960  11 Os 2.57-2.74
Os  0.1379  0.6580  0.3613  11 Os 2.61-2.80
Os  0.3933  0.3382  0.7960  11 Os 2.57-2.74
Os  0.8621  0.1580  0.1387  11 Os 2.61-2.80
Os  0.1379  0.8420  0.8613  11 Os 2.61-2.80
Os  0.6067  0.8382  0.7040  11 Os 2.57-2.74